Material: GdInPd
Method: DFT, PBE-GGA
State: optimized geometry Values from VASP.

Cell and atoms, written as Quantum ESPRESSO input:
```
&SYSTEM
  ibrav = 0, nat = 9, ntyp = 3
/
ATOMIC_SPECIES
Gd 157.25 Gd.upf
In 114.82 In.upf
Pd 106.42 Pd.upf
ATOMIC_POSITIONS angstrom
Gd 4.075 -0.092 2.867
Gd 1.078 2.621 2.420
Gd -1.790 4.637 0.359
In -0.420 2.278 5.275
In 1.204 -0.635 1.460
In -1.350 1.424 0.368
Pd 1.372 0.200 4.259
Pd 1.310 1.366 -0.486
Pd -1.937 2.867 2.844
CELL_PARAMETERS angstrom
-5.245 5.535 1.429
4.680 -2.467 5.674
2.619 2.733 -0.972
```

Calculated total energy = -73.31 eV/cell


Material: PmGdIn2
Method: DFT, PBE-GGA
State: optimized geometry Values from VASP.

Cell and atoms, written as Quantum ESPRESSO input:
```
&SYSTEM
  ibrav = 0, nat = 4, ntyp = 3
/
ATOMIC_SPECIES
Pm 145.00 Pm.upf
Gd 157.25 Gd.upf
In 114.82 In.upf
ATOMIC_POSITIONS angstrom
Pm 0.000 0.000 0.000
Gd 3.835 3.835 3.835
In 1.917 1.917 1.917
In 5.752 5.752 5.752
CELL_PARAMETERS angstrom
0.000 3.835 3.835
3.835 0.000 3.835
3.835 3.835 0.000
```

Total moment = 7.2 μB/f.u.
Calculated total energy = -26.25 eV/cell


Material: GdIn2Rh
Method: DFT, PBE-GGA
State: optimized geometry Values from VASP.

Cell and atoms, written as Quantum ESPRESSO input:
```
&SYSTEM
  ibrav = 0, nat = 8, ntyp = 3
/
ATOMIC_SPECIES
Gd 157.25 Gd.upf
In 114.82 In.upf
Rh 102.91 Rh.upf
ATOMIC_POSITIONS angstrom
Gd 2.195 4.396 2.008
Gd 2.195 -4.396 6.023
In 2.195 -1.471 4.422
In 2.195 1.471 3.609
In 2.195 -1.471 7.624
In 2.195 1.471 0.407
Rh 2.195 2.881 6.023
Rh 2.195 -2.881 2.008
CELL_PARAMETERS angstrom
2.195 -5.079 0.000
2.195 5.079 0.000
0.000 0.000 8.031
```

Calculated total energy = -58.80 eV/cell


Material: GdIn5Rh
Method: DFT, PBE-GGA
State: optimized geometry Values from VASP.

Cell and atoms, written as Quantum ESPRESSO input:
```
&SYSTEM
  ibrav = 0, nat = 7, ntyp = 3
/
ATOMIC_SPECIES
Gd 157.25 Gd.upf
In 114.82 In.upf
Rh 102.91 Rh.upf
ATOMIC_POSITIONS angstrom
Gd 0.000 0.000 0.000
In 0.817 0.327 3.149
In -0.286 1.910 5.442
In -2.253 -0.579 2.298
In -3.356 1.003 4.591
In 0.244 -2.662 1.955
Rh -1.391 1.996 2.893
CELL_PARAMETERS angstrom
-2.826 -3.569 1.104
3.314 -1.756 2.806
-2.783 3.993 5.786
```

Calculated total energy = -38.15 eV/cell


Material: GdInRh
Method: DFT, PBE-GGA
State: optimized geometry Values from VASP.

Cell and atoms, written as Quantum ESPRESSO input:
```
&SYSTEM
  ibrav = 0, nat = 9, ntyp = 3
/
ATOMIC_SPECIES
Gd 157.25 Gd.upf
In 114.82 In.upf
Rh 102.91 Rh.upf
ATOMIC_POSITIONS angstrom
Gd -0.730 2.661 4.064
Gd 0.782 3.311 -3.544
Gd -0.525 3.640 0.207
In -0.946 0.598 1.576
In -0.296 0.878 -1.697
In -3.641 4.325 -0.354
Rh 1.470 1.270 0.401
Rh -2.016 3.084 -2.381
Rh -2.868 2.717 1.906
CELL_PARAMETERS angstrom
-1.163 3.450 -6.668
-3.720 2.351 6.193
2.940 2.541 0.802
```

Calculated total energy = -79.24 eV/cell


Material: Gd3InS6
Method: DFT, PBE-GGA
State: optimized geometry Values from VASP.

Cell and atoms, written as Quantum ESPRESSO input:
```
&SYSTEM
  ibrav = 0, nat = 40, ntyp = 3
/
ATOMIC_SPECIES
Gd 157.25 Gd.upf
In 114.82 In.upf
S 32.06 S.upf
ATOMIC_POSITIONS angstrom
Gd 1.949 0.547 4.595
Gd 1.949 13.082 12.016
Gd 0.000 7.361 3.710
Gd 0.000 6.268 12.901
Gd 1.949 11.063 2.420
Gd 1.949 2.565 14.192
Gd 0.000 4.249 5.886
Gd 0.000 9.380 10.725
Gd 1.949 3.422 1.770
Gd 1.949 10.206 14.841
Gd 0.000 10.237 6.535
Gd 0.000 3.392 10.076
In 1.949 6.814 8.306
In 0.000 0.000 0.000
In 1.949 6.814 0.000
In 0.000 0.000 8.306
S 1.949 8.355 1.940
S 1.949 5.273 14.671
S 0.000 1.541 6.365
S 0.000 12.088 10.246
S 1.949 12.318 6.878
S 1.949 1.310 9.733
S 0.000 5.504 1.427
S 0.000 8.125 15.184
S 1.949 9.293 4.764
S 1.949 4.335 11.848
S 0.000 2.479 3.542
S 0.000 11.150 13.069
S 1.949 4.205 7.965
S 1.949 9.424 8.646
S 0.000 11.019 0.341
S 0.000 2.610 16.271
S 1.949 0.285 1.746
S 1.949 13.344 14.866
S 0.000 7.099 6.560
S 0.000 6.529 10.051
S 1.949 5.300 4.210
S 1.949 8.328 12.402
S 0.000 12.115 4.096
S 0.000 1.514 12.515
CELL_PARAMETERS angstrom
3.899 0.000 0.000
0.000 13.629 0.000
0.000 0.000 16.611
```

Total energy after the MP2020 corrections = -358.96 eV/cell
Calculated total energy = -346.89 eV/cell


Material: Gd3InS6
Method: DFT, PBE-GGA
State: optimized geometry Values from VASP.

Cell and atoms, written as Quantum ESPRESSO input:
```
&SYSTEM
  ibrav = 0, nat = 40, ntyp = 3
/
ATOMIC_SPECIES
Gd 157.25 Gd.upf
In 114.82 In.upf
S 32.06 S.upf
ATOMIC_POSITIONS angstrom
Gd 8.175 2.727 9.780
Gd 11.983 -6.010 -2.629
Gd 6.980 -4.098 2.074
Gd 12.327 -2.398 7.077
Gd 8.613 0.512 6.481
Gd 11.529 -3.856 0.708
Gd 3.102 -3.507 1.304
Gd 16.221 -2.928 7.810
Gd 11.375 -0.279 10.098
Gd 7.927 -6.238 -0.934
Gd 5.425 -0.316 3.703
Gd 14.738 -2.947 3.435
In 4.512 -0.013 7.631
In 4.923 -4.059 -2.542
In 9.959 -2.095 3.857
In -0.523 -1.977 1.231
S 9.528 -2.203 6.370
S 9.741 -4.438 2.872
S 1.807 -0.972 0.966
S 18.389 -2.167 6.095
S 13.072 1.965 10.608
S 7.092 -5.223 -3.474
S 6.290 -1.350 6.224
S 13.010 -5.172 2.943
S 9.599 1.168 11.683
S 9.699 -7.698 -2.510
S 7.797 -1.481 2.824
S 12.369 -1.769 4.305
S 8.581 -0.137 9.208
S 10.705 -6.439 -0.007
S 5.336 -1.819 1.183
S 14.842 -1.385 5.918
S 11.552 0.361 7.399
S 8.610 -3.629 -0.258
S 3.178 -1.933 3.953
S 16.125 -4.578 5.208
S 6.239 1.991 7.774
S 13.919 -5.273 -0.625
S 5.365 -5.039 -0.120
S 13.942 -1.459 9.273
CELL_PARAMETERS angstrom
-0.861 -3.254 2.026
10.273 -6.509 -6.085
10.321 4.873 12.210
```

Total moment = 7.0 μB/f.u.
Total energy after the MP2020 corrections = -358.90 eV/cell
Calculated total energy = -346.82 eV/cell


Material: GdZnIn
Method: DFT, PBE-GGA
State: optimized geometry Values from VASP.

Cell and atoms, written as Quantum ESPRESSO input:
```
&SYSTEM
  ibrav = 0, nat = 6, ntyp = 3
/
ATOMIC_SPECIES
Gd 157.25 Gd.upf
Zn 65.41 Zn.upf
In 114.82 In.upf
ATOMIC_POSITIONS angstrom
Gd 0.000 0.000 -3.661
Gd 0.000 0.000 0.000
Zn -2.362 1.364 -1.831
Zn -2.362 -1.364 -5.492
In -2.362 1.364 -5.492
In -2.362 -1.364 -1.831
CELL_PARAMETERS angstrom
-2.362 -4.091 0.000
-2.362 4.091 0.000
0.000 0.000 -7.323
```

Calculated total energy = -38.86 eV/cell


Material: Gd2ZnIn
Method: DFT, PBE-GGA
State: optimized geometry Values from VASP.

Cell and atoms, written as Quantum ESPRESSO input:
```
&SYSTEM
  ibrav = 0, nat = 4, ntyp = 3
/
ATOMIC_SPECIES
Gd 157.25 Gd.upf
Zn 65.41 Zn.upf
In 114.82 In.upf
ATOMIC_POSITIONS angstrom
Gd -0.540 -3.163 -0.281
Gd -1.621 -9.488 -0.842
Zn 0.000 0.000 0.000
In -1.081 -6.325 -0.561
CELL_PARAMETERS angstrom
1.343 -4.761 1.786
-3.630 -3.787 0.379
0.126 -4.103 -3.288
```

Calculated total energy = -33.87 eV/cell


Material: GdLuIr2
Method: DFT, PBE-GGA
State: optimized geometry Values from VASP.

Cell and atoms, written as Quantum ESPRESSO input:
```
&SYSTEM
  ibrav = 0, nat = 4, ntyp = 3
/
ATOMIC_SPECIES
Gd 157.25 Gd.upf
Lu 174.97 Lu.upf
Ir 192.22 Ir.upf
ATOMIC_POSITIONS angstrom
Gd 3.409 3.409 3.409
Lu 0.000 0.000 0.000
Ir 1.704 1.704 1.704
Ir 5.113 5.113 5.113
CELL_PARAMETERS angstrom
0.000 3.409 3.409
3.409 0.000 3.409
3.409 3.409 0.000
```

Calculated total energy = -39.63 eV/cell


Material: Gd2NiIr
Method: DFT, PBE-GGA
State: optimized geometry Values from VASP.

Cell and atoms, written as Quantum ESPRESSO input:
```
&SYSTEM
  ibrav = 0, nat = 4, ntyp = 3
/
ATOMIC_SPECIES
Gd 157.25 Gd.upf
Ni 58.69 Ni.upf
Ir 192.22 Ir.upf
ATOMIC_POSITIONS angstrom
Gd -1.845 1.156 2.030
Gd -5.534 3.468 6.090
Ni 0.000 0.000 0.000
Ir -3.689 2.312 4.060
CELL_PARAMETERS angstrom
-0.347 1.678 4.549
-2.977 3.710 1.002
-4.055 -0.763 2.570
```

Calculated total energy = -45.13 eV/cell


Material: Gd2IrPd
Method: DFT, PBE-GGA
State: optimized geometry Values from VASP.

Cell and atoms, written as Quantum ESPRESSO input:
```
&SYSTEM
  ibrav = 0, nat = 4, ntyp = 3
/
ATOMIC_SPECIES
Gd 157.25 Gd.upf
Ir 192.22 Ir.upf
Pd 106.42 Pd.upf
ATOMIC_POSITIONS angstrom
Gd -0.667 -2.013 -2.166
Gd -2.002 -6.039 -6.499
Ir -1.335 -4.026 -4.332
Pd 0.000 0.000 0.000
CELL_PARAMETERS angstrom
-0.612 -4.810 -0.998
-3.431 -1.433 -3.268
1.374 -1.810 -4.398
```

Calculated total energy = -45.56 eV/cell